*one*
Hf | meta-GGA r2SCAN | relaxed

Lattice parameters (Å, degrees): 4.471 4.471 4.471 90.00 90.00 90.00
Fractional positions:
Hf 0.000 0.000 0.000
Hf 0.000 0.500 0.500
Hf 0.500 0.000 0.500
Hf 0.500 0.500 0.000

Computed properties:
space group	Fm-3m, No. 225

=====

*two*
Hf | meta-GGA r2SCAN | relaxed

Lattice parameters (Å, degrees): 3.535 3.535 3.535 90.00 90.00 90.00
Fractional positions:
Hf 0.000 0.000 0.000
Hf 0.500 0.500 0.500

Computed properties:
space group	Im-3m, No. 229

=====

Verdict on stability: *one* comes out on top.

=====

*one*
Hf2P2O9 | meta-GGA r2SCAN | relaxed

Lattice parameters (Å, degrees): 5.422 5.422 11.819 90.00 90.00 105.36
Fractional positions:
Hf 0.206 0.794 0.938
Hf 0.294 0.706 0.438
Hf 0.706 0.294 0.562
Hf 0.794 0.206 0.062
P 0.106 0.894 0.647
P 0.394 0.606 0.147
P 0.606 0.394 0.853
P 0.894 0.106 0.353
O 0.000 0.000 0.000
O 0.015 0.632 0.585
O 0.065 0.935 0.377
O 0.132 0.515 0.085
O 0.138 0.862 0.772
O 0.362 0.638 0.272
O 0.368 0.985 0.585
O 0.435 0.565 0.877
O 0.485 0.868 0.085
O 0.500 0.500 0.500
O 0.515 0.132 0.915
O 0.565 0.435 0.123
O 0.632 0.015 0.415
O 0.638 0.362 0.728
O 0.862 0.138 0.228
O 0.868 0.485 0.915
O 0.935 0.065 0.623
O 0.985 0.368 0.415

Computed properties:
space group	Cmce, No. 64

=====

*two*
Hf2P2O9 | meta-GGA r2SCAN | relaxed

Lattice parameters (Å, degrees): 7.559 7.559 10.010 126.79 126.79 51.49
Fractional positions:
Hf 0.057 0.057 0.403
Hf 0.316 0.316 0.865
Hf 0.684 0.684 0.135
Hf 0.943 0.943 0.597
P 0.170 0.170 0.043
P 0.408 0.408 0.663
P 0.592 0.592 0.337
P 0.830 0.830 0.957
O 0.005 0.625 0.857
O 0.032 0.032 0.856
O 0.115 0.115 0.657
O 0.241 0.620 0.603
O 0.267 0.267 0.595
O 0.274 0.274 0.025
O 0.375 0.995 0.143
O 0.380 0.759 0.397
O 0.485 0.485 0.867
O 0.515 0.515 0.133
O 0.620 0.241 0.603
O 0.625 0.005 0.857
O 0.726 0.726 0.975
O 0.733 0.733 0.405
O 0.759 0.380 0.397
O 0.885 0.885 0.343
O 0.968 0.968 0.144
O 0.995 0.375 0.143

Computed properties:
space group	C2/m, No. 12

=====

Verdict on stability: *two* comes out on top.

=====

*one*
Mg5Hg | meta-GGA r2SCAN | relaxed

Lattice parameters (Å, degrees): 11.460 3.244 7.239 90.00 104.67 90.00
Fractional positions:
Mg 0.000 0.000 0.000
Mg 0.044 0.000 0.608
Mg 0.157 0.500 0.333
Mg 0.321 0.000 0.675
Mg 0.371 0.000 0.259
Mg 0.500 0.500 0.000
Mg 0.544 0.500 0.608
Mg 0.657 0.000 0.333
Mg 0.821 0.500 0.675
Mg 0.871 0.500 0.259
Hg 0.213 0.500 0.941
Hg 0.713 0.000 0.941

Computed properties:
space group	Cm, No. 8

=====

*two*
Mg5Hg | meta-GGA r2SCAN | relaxed

Lattice parameters (Å, degrees): 9.372 5.422 5.927 90.00 121.28 90.00
Fractional positions:
Mg 0.000 0.000 0.000
Mg 0.167 0.339 0.499
Mg 0.170 0.510 0.999
Mg 0.330 0.010 0.001
Mg 0.333 0.839 0.501
Mg 0.500 0.500 0.000
Mg 0.667 0.839 0.499
Mg 0.670 0.010 0.999
Mg 0.830 0.510 0.001
Mg 0.833 0.339 0.501
Hg 0.000 0.840 0.500
Hg 0.500 0.340 0.500

Computed properties:
space group	C2, No. 5

=====

Verdict on stability: *two* comes out on top.